1.
VASP calculation (PBE-GGA) on an optimized crystal structure of CuS.

Output
SG = No. 156
Magnetization = 0.00 μB per cell

Lattice parameters (Å, degrees): 3.6230 3.6230 5.3204 90.00 90.00 120.00
Closest atoms and distances in Å follow each position.
Fractional positions:
Cu1 0.3333 0.6667 0.9842  3 S 2.15
S1 0.6667 0.3333 0.8916  3 Cu 2.15

***

2.
VASP calculation (PBE-GGA) on an optimized crystal structure of Eu2Si3Au.

Output
SG = No. 187
Magnetization = 13.78 μB per cell

Lattice parameters (Å, degrees): 4.2249 4.2249 8.8740 90.00 90.00 120.00
Closest atoms and distances in Å follow each position.
Fractional positions:
Eu1 0.0000 0.0000 0.2479  9 Si 3.28-3.31, 3 Au 3.28
Eu2 0.0000 0.0000 0.7521  9 Si 3.28-3.31, 3 Au 3.28
Si1 0.3333 0.6667 0.5000  3 Si 2.44
Si2 0.6667 0.3333 0.0000  3 Au 2.44
Si3 0.6667 0.3333 0.5000  3 Si 2.44
Au1 0.3333 0.6667 0.0000  3 Si 2.44

***

3.
VASP calculation (PBE-GGA) on an optimized crystal structure of TbMn5Ge3.

Output
SG = No. 62
Magnetization = 67.76 μB per cell

Lattice parameters (Å, degrees): 4.1199 12.1913 13.9889 90.00 90.00 90.00
Closest atoms and distances in Å follow each position.
Fractional positions:
Tb1 0.7500 0.4124 0.2932  6 Ge 3.17-3.22, 3 Mn 3.53-3.54
Tb2 0.2500 0.5876 0.7068  6 Ge 3.17-3.22, 3 Mn 3.53-3.54
Tb3 0.2500 0.9124 0.2068  6 Ge 3.17-3.22, 3 Mn 3.53-3.54
Tb4 0.7500 0.0876 0.7932  6 Ge 3.17-3.22, 3 Mn 3.53-3.54
Mn1 0.7500 0.9657 0.5634  4 Ge 2.64-2.68, 4 Mn 2.84-2.87
Mn2 0.7500 0.1173 0.3131  4 Ge 2.70-2.73, 4 Mn 2.87-2.94
Mn3 0.2500 0.2935 0.6848  4 Ge 2.64-2.73, 2 Mn 2.94
Mn4 0.7500 0.3827 0.8131  4 Ge 2.70-2.73, 4 Mn 2.87-2.94
Mn5 0.2500 0.4106 0.4980  4 Ge 2.67-2.73, 1 Mn 2.98
Mn6 0.2500 0.6173 0.1869  4 Ge 2.70-2.73, 4 Mn 2.87-2.94
Mn7 0.7500 0.7935 0.8152  4 Ge 2.64-2.73, 2 Mn 2.94
Mn8 0.2500 0.2065 0.1848  4 Ge 2.64-2.73, 2 Mn 2.94
Mn9 0.2500 0.0894 0.9980  4 Ge 2.67-2.73, 1 Mn 2.98
Mn10 0.7500 0.5343 0.0634  4 Ge 2.64-2.68, 4 Mn 2.84-2.87
Mn11 0.2500 0.8827 0.6869  4 Ge 2.70-2.73, 4 Mn 2.87-2.94
Mn12 0.7500 0.2906 0.0194  5 Ge 2.83-2.89, 2 Mn 3.03-3.10
Mn13 0.7500 0.7065 0.3152  4 Ge 2.64-2.73, 2 Mn 2.94
Mn14 0.2500 0.7906 0.4806  5 Ge 2.83-2.89, 2 Mn 3.03-3.10
Mn15 0.7500 0.9106 0.0020  4 Ge 2.67-2.73, 1 Mn 2.98
Mn16 0.7500 0.2094 0.5194  5 Ge 2.83-2.89, 2 Mn 3.03-3.10
Mn17 0.2500 0.4657 0.9366  4 Ge 2.64-2.68, 4 Mn 2.84-2.87
Mn18 0.7500 0.5894 0.5020  4 Ge 2.67-2.73, 1 Mn 2.98
Mn19 0.2500 0.7094 0.9806  5 Ge 2.83-2.89, 2 Mn 3.03-3.10
Mn20 0.2500 0.0343 0.4366  4 Ge 2.64-2.68, 4 Mn 2.84-2.87
Ge1 0.7500 0.4108 0.6195  7 Mn 2.67-2.83
Ge2 0.2500 0.5892 0.3805  7 Mn 2.67-2.83
Ge3 0.2500 0.9108 0.8805  7 Mn 2.67-2.83
Ge4 0.7500 0.9096 0.3799  7 Mn 2.64-2.89
Ge5 0.2500 0.0904 0.6201  7 Mn 2.64-2.89
Ge6 0.2500 0.2401 0.3781  7 Mn 2.64-2.88
Ge7 0.7500 0.5904 0.8799  7 Mn 2.64-2.89
Ge8 0.7500 0.7401 0.1219  7 Mn 2.64-2.88
Ge9 0.7500 0.7599 0.6219  7 Mn 2.64-2.88
Ge10 0.7500 0.0892 0.1195  7 Mn 2.67-2.83
Ge11 0.2500 0.4096 0.1201  7 Mn 2.64-2.89
Ge12 0.2500 0.2599 0.8781  7 Mn 2.64-2.88

***

4.
VASP calculation (PBE-GGA) on an optimized crystal structure of MgVCu3S4.

Output
SG = No. 215
Energy above the most stable polymorph in this dataset = 0 meV per atom
Magnetization = 2.00 μB per cell

Lattice parameters (Å, degrees): 5.5135 5.5135 5.5135 90.00 90.00 90.00
Closest atoms and distances in Å follow each position.
Fractional positions:
Mg1 0.5000 0.5000 0.5000  4 S 2.47
V1 0.0000 0.0000 0.0000  4 S 2.30
Cu1 0.0000 0.0000 0.5000  4 S 2.36
Cu2 0.0000 0.5000 0.0000  4 S 2.36
Cu3 0.5000 0.0000 0.0000  4 S 2.36
S1 0.7591 0.7591 0.2409  1 V 2.30, 3 Cu 2.36, 1 Mg 2.47
S2 0.7591 0.2409 0.7591  1 V 2.30, 3 Cu 2.36, 1 Mg 2.47
S3 0.2409 0.7591 0.7591  1 V 2.30, 3 Cu 2.36, 1 Mg 2.47
S4 0.2409 0.2409 0.2409  1 V 2.30, 3 Cu 2.36, 1 Mg 2.47

***

no.,ΔE_f (eV per formula unit)
1,-0.30
2,-3.35
3,-0.45
4,-6.84